Na2LiFeO4 after structural relaxation. Source: Materials Project, functional PBE with a Hubbard U.

Cell lengths 6.337, 7.740, 8.538 Å; angles 90.00, 90.00, 90.00 degrees
Positions (direct):
Na (0.739, 0.500, 0.000)
Na (0.000, 0.759, 0.242)
Na (0.500, 0.259, 0.258)
Na (0.239, 0.000, 0.500)
Na (0.761, 0.000, 0.500)
Na (0.500, 0.741, 0.742)
Na (0.000, 0.241, 0.758)
Na (0.261, 0.500, 0.000)
Li (0.500, 0.838, 0.085)
Li (0.000, 0.338, 0.415)
Li (0.000, 0.662, 0.585)
Li (0.500, 0.162, 0.915)
Fe (0.000, 0.211, 0.131)
Fe (0.500, 0.711, 0.369)
Fe (0.500, 0.289, 0.631)
Fe (0.000, 0.789, 0.869)
O (0.756, 0.201, 0.035)
O (0.244, 0.201, 0.035)
O (0.500, 0.581, 0.203)
O (0.000, 0.425, 0.199)
O (0.500, 0.925, 0.301)
O (0.000, 0.081, 0.297)
O (0.256, 0.701, 0.465)
O (0.744, 0.701, 0.465)
O (0.744, 0.299, 0.535)
O (0.256, 0.299, 0.535)
O (0.000, 0.919, 0.703)
O (0.500, 0.075, 0.699)
O (0.000, 0.575, 0.801)
O (0.500, 0.419, 0.797)
O (0.756, 0.799, 0.965)
O (0.244, 0.799, 0.965)

Computed properties:
The calculation puts the magnetic moment at 12.0 μB/cell. The calculated total energy comes out at -159.95 eV per cell. The value obtained for the formation energy is -1.52 eV/atom.